Computed, not measured: Ho2Si5Rh3 after structural relaxation at the PBE level of DFT.

Summary:
Electronic total energy (eV/f.u.): -68.029

Unit cell a=8.152 b=8.152 c=8.152 alpha=138.73 beta=105.00 gamma=89.40
Atoms (fractional coordinates):
1 Si 0.238 0.894 0.344
2 Si 0.549 0.394 0.156
3 Si 0.000 0.750 0.750
4 Si 0.762 0.106 0.656
5 Si 0.451 0.606 0.844
6 Si 0.277 0.027 0.750
7 Si 0.723 0.973 0.250
8 Si 0.277 0.527 0.250
9 Si 0.000 0.250 0.250
10 Si 0.723 0.473 0.750
11 Rh 0.029 0.139 0.890
12 Rh 0.500 0.250 0.750
13 Rh 0.971 0.861 0.110
14 Rh 0.750 0.361 0.390
15 Rh 0.250 0.639 0.610
16 Rh 0.500 0.750 0.250
17 Ho 0.363 0.131 0.232
18 Ho 0.101 0.369 0.732
19 Ho 0.899 0.631 0.268
20 Ho 0.637 0.869 0.768

***

Computed, not measured: HoSi3Rh5 after structural relaxation at the PBE level of DFT.

Summary:
Electronic total energy (eV/f.u.): -66.328

Unit cell a=15.643 b=15.643 c=3.879 alpha=90.00 beta=90.00 gamma=120.00
Atoms (fractional coordinates):
1 Rh 0.652 0.223 0.750
2 Rh 0.223 0.571 0.250
3 Rh 0.728 0.772 0.250
4 Rh 0.029 0.886 0.250
5 Rh 0.272 0.228 0.750
6 Rh 0.415 0.261 0.250
7 Rh 0.228 0.956 0.250
8 Rh 0.585 0.739 0.750
9 Rh 0.154 0.415 0.750
10 Rh 0.971 0.114 0.750
11 Rh 0.571 0.348 0.750
12 Rh 0.777 0.429 0.750
13 Rh 0.044 0.272 0.250
14 Rh 0.429 0.652 0.250
15 Rh 0.886 0.857 0.750
16 Rh 0.536 0.075 0.250
17 Rh 0.956 0.728 0.750
18 Rh 0.143 0.029 0.750
19 Rh 0.348 0.777 0.250
20 Rh 0.075 0.539 0.750
21 Rh 0.857 0.971 0.250
22 Rh 0.114 0.143 0.250
23 Rh 0.539 0.464 0.250
24 Rh 0.772 0.044 0.750
25 Rh 0.925 0.461 0.250
26 Rh 0.261 0.846 0.750
27 Rh 0.739 0.154 0.250
28 Rh 0.846 0.585 0.250
29 Rh 0.461 0.536 0.750
30 Rh 0.464 0.925 0.750
31 Si 0.442 0.760 0.750
32 Si 0.240 0.681 0.750
33 Si 0.062 0.433 0.250
34 Si 0.371 0.938 0.250
35 Si 0.760 0.319 0.250
36 Si 0.869 0.750 0.250
37 Si 0.567 0.629 0.250
38 Si 0.629 0.062 0.750
39 Si 0.120 0.869 0.750
40 Si 0.558 0.240 0.250
41 Si 0.250 0.120 0.250
42 Si 0.131 0.250 0.750
43 Si 0.750 0.880 0.750
44 Si 0.880 0.131 0.250
45 Si 0.681 0.442 0.250
46 Si 0.938 0.567 0.750
47 Si 0.319 0.558 0.750
48 Si 0.433 0.371 0.750
49 Ho 0.294 0.394 0.250
50 Ho 0.900 0.294 0.750
51 Ho 0.100 0.706 0.250
52 Ho 0.394 0.100 0.750
53 Ho 0.606 0.900 0.250
54 Ho 0.706 0.606 0.750